(1)
# Na3Al2P3O12, relaxed, DFT PBE
# SG: No. 230
# Magnetic moment, Bohr magnetons per cell: 0.000
# Energy above the most stable polymorph in this dataset, meV/atom: 26
data_Na3Al2P3O12
_symmetry_space_group_name_H-M 'P 1'
_symmetry_Int_Tables_number 1
_cell_length_a 10.1421
_cell_length_b 10.1421
_cell_length_c 10.1421
_cell_angle_alpha 109.47
_cell_angle_beta 109.47
_cell_angle_gamma 109.47
loop_
_symmetry_equiv_pos_as_xyz
'x,y,z'
loop_
_atom_site_label
_atom_site_type_symbol
_atom_site_fract_x
_atom_site_fract_y
_atom_site_fract_z
P1 P 0.6250 0.3750 0.2500
P2 P 0.2500 0.6250 0.3750
P3 P 0.3750 0.2500 0.6250
P4 P 0.7500 0.8750 0.1250
P5 P 0.8750 0.2500 0.1250
P6 P 0.3750 0.6250 0.7500
P7 P 0.1250 0.7500 0.8750
P8 P 0.6250 0.7500 0.3750
P9 P 0.1250 0.8750 0.2500
P10 P 0.2500 0.1250 0.8750
P11 P 0.8750 0.1250 0.7500
P12 P 0.7500 0.3750 0.6250
O1 O 0.8036 0.8896 0.0007
O2 O 0.8029 0.4993 0.3890
O3 O 0.1964 0.5860 0.1971
O4 O 0.0860 0.8896 0.3890
O5 O 0.6964 0.4993 0.6104
O6 O 0.4140 0.1110 0.6104
O7 O 0.3029 0.9140 0.3036
O8 O 0.8890 0.9993 0.3029
O9 O 0.3029 0.8890 0.9993
O10 O 0.1104 0.6110 0.9140
O11 O 0.4993 0.6104 0.6964
O12 O 0.6104 0.6964 0.4993
O13 O 0.1971 0.5007 0.6110
O14 O 0.1104 0.9993 0.1964
O15 O 0.3036 0.3029 0.9140
O16 O 0.4140 0.8029 0.8036
O17 O 0.1964 0.1104 0.9993
O18 O 0.9993 0.3029 0.8890
O19 O 0.6110 0.1971 0.5007
O20 O 0.8896 0.3890 0.0860
O21 O 0.6971 0.1110 0.0007
O22 O 0.6104 0.4140 0.1110
O23 O 0.9140 0.3036 0.3029
O24 O 0.8896 0.0007 0.8036
O25 O 0.5860 0.1971 0.1964
O26 O 0.0007 0.8036 0.8896
O27 O 0.6110 0.9140 0.1104
O28 O 0.3896 0.3036 0.5007
O29 O 0.1110 0.6104 0.4140
O30 O 0.3896 0.5860 0.8890
O31 O 0.8036 0.4140 0.8029
O32 O 0.3036 0.5007 0.3896
O33 O 0.5007 0.6110 0.1971
O34 O 0.9993 0.1964 0.1104
O35 O 0.0860 0.6964 0.6971
O36 O 0.1971 0.1964 0.5860
O37 O 0.6964 0.6971 0.0860
O38 O 0.9140 0.1104 0.6110
O39 O 0.3890 0.0860 0.8896
O40 O 0.3890 0.8029 0.4993
O41 O 0.5007 0.3896 0.3036
O42 O 0.1110 0.0007 0.6971
O43 O 0.8029 0.8036 0.4140
O44 O 0.5860 0.8890 0.3896
O45 O 0.6971 0.0860 0.6964
O46 O 0.0007 0.6971 0.1110
O47 O 0.4993 0.3890 0.8029
O48 O 0.8890 0.3896 0.5860
Na1 Na 0.1250 0.2500 0.3750
Na2 Na 0.1250 0.3750 0.7500
Na3 Na 0.2500 0.3750 0.1250
Na4 Na 0.8750 0.6250 0.2500
Na5 Na 0.7500 0.1250 0.3750
Na6 Na 0.3750 0.1250 0.2500
Na7 Na 0.8750 0.7500 0.6250
Na8 Na 0.6250 0.2500 0.8750
Na9 Na 0.2500 0.8750 0.6250
Na10 Na 0.7500 0.6250 0.8750
Na11 Na 0.6250 0.8750 0.7500
Na12 Na 0.3750 0.7500 0.1250
Al1 Al 0.0000 0.0000 0.5000
Al2 Al 0.0000 0.0000 0.0000
Al3 Al 0.0000 0.5000 0.0000
Al4 Al 0.5000 0.5000 0.5000
Al5 Al 0.5000 0.0000 0.5000
Al6 Al 0.5000 0.0000 0.0000
Al7 Al 0.0000 0.5000 0.5000
Al8 Al 0.5000 0.5000 0.0000

***

(2)
# Sc2CrC3, relaxed, DFT PBE
# SG: No. 55
data_Sc2CrC3
_symmetry_space_group_name_H-M 'P 1'
_symmetry_Int_Tables_number 1
_cell_length_a 3.2781
_cell_length_b 5.7968
_cell_length_c 14.1099
_cell_angle_alpha 90.00
_cell_angle_beta 90.00
_cell_angle_gamma 90.00
loop_
_symmetry_equiv_pos_as_xyz
'x,y,z'
loop_
_atom_site_label
_atom_site_type_symbol
_atom_site_fract_x
_atom_site_fract_y
_atom_site_fract_z
Sc1 Sc 0.0000 0.8793 0.6878
Sc2 Sc 0.5000 0.0000 0.5000
Sc3 Sc 0.0000 0.0000 0.0000
Sc4 Sc 0.0000 0.3793 0.8122
Sc5 Sc 0.0000 0.6207 0.1878
Sc6 Sc 0.5000 0.5000 0.0000
Sc7 Sc 0.0000 0.5000 0.5000
Sc8 Sc 0.0000 0.1207 0.3122
C1 C 0.5000 0.8609 0.1176
C2 C 0.5000 0.3918 0.2789
C3 C 0.5000 0.6082 0.7211
C4 C 0.5000 0.1391 0.8824
C5 C 0.0000 0.6822 0.9077
C6 C 0.5000 0.1082 0.7789
C7 C 0.0000 0.1822 0.5923
C8 C 0.0000 0.8178 0.4077
C9 C 0.5000 0.6391 0.6176
C10 C 0.5000 0.3609 0.3824
C11 C 0.5000 0.8918 0.2211
C12 C 0.0000 0.3178 0.0923
Cr1 Cr 0.5000 0.8001 0.8466
Cr2 Cr 0.5000 0.1999 0.1534
Cr3 Cr 0.5000 0.6999 0.3466
Cr4 Cr 0.5000 0.3001 0.6534

***

(3)
# NaSi2Pd3, relaxed, DFT PBE
# SG: No. 44
data_NaSi2Pd3
_symmetry_space_group_name_H-M 'P 1'
_symmetry_Int_Tables_number 1
_cell_length_a 6.7407
_cell_length_b 6.7407
_cell_length_c 6.7407
_cell_angle_alpha 129.33
_cell_angle_beta 116.69
_cell_angle_gamma 85.25
loop_
_symmetry_equiv_pos_as_xyz
'x,y,z'
loop_
_atom_site_label
_atom_site_type_symbol
_atom_site_fract_x
_atom_site_fract_y
_atom_site_fract_z
Pd1 Pd 0.4518 0.9972 0.9474
Pd2 Pd 0.5482 0.4956 0.5455
Pd3 Pd 0.7185 0.5018 0.2203
Pd4 Pd 0.2815 0.5018 0.7833
Pd5 Pd 0.9502 0.4956 0.9474
Pd6 Pd 0.0498 0.9972 0.5455
Na1 Na 0.5000 0.0190 0.5190
Na2 Na 0.0000 0.9557 0.9557
Si1 Si 0.3109 0.3825 0.0716
Si2 Si 0.6891 0.7607 0.0716
Si3 Si 0.1573 0.5962 0.4389
Si4 Si 0.8427 0.2816 0.4389

***

(4)
# Ti3H2O7, relaxed, DFT PBE
# SG: No. 5
# Magnetic moment, Bohr magnetons per cell: 0.000
# Energy above the most stable polymorph in this dataset, meV/atom: 107
data_Ti3H2O7
_symmetry_space_group_name_H-M 'P 1'
_symmetry_Int_Tables_number 1
_cell_length_a 18.7308
_cell_length_b 18.7308
_cell_length_c 9.5428
_cell_angle_alpha 81.29
_cell_angle_beta 81.29
_cell_angle_gamma 11.68
loop_
_symmetry_equiv_pos_as_xyz
'x,y,z'
loop_
_atom_site_label
_atom_site_type_symbol
_atom_site_fract_x
_atom_site_fract_y
_atom_site_fract_z
Ti1 Ti 0.2353 0.2345 0.7691
Ti2 Ti 0.8117 0.8152 0.8571
Ti3 Ti 0.2173 0.2204 0.4674
Ti4 Ti 0.7655 0.7647 0.2309
Ti5 Ti 0.7796 0.7827 0.5326
Ti6 Ti 0.1848 0.1883 0.1429
O1 O 0.2500 0.2520 0.2609
O2 O 0.7251 0.7374 0.4483
O3 O 0.2886 0.2937 0.8561
O4 O 0.7989 0.8033 0.3495
O5 O 0.7480 0.7500 0.7391
O6 O 0.2626 0.2749 0.5517
O7 O 0.1967 0.2011 0.6505
O8 O 0.1334 0.2227 0.3639
O9 O 0.1400 0.1475 0.1265
O10 O 0.7773 0.8666 0.6361
O11 O 0.7063 0.7114 0.1439
O12 O 0.8525 0.8600 0.8735
O13 O 0.2113 0.2139 0.9451
O14 O 0.7861 0.7887 0.0549
H1 H 0.7151 0.7242 0.0430
H2 H 0.9767 0.3368 0.4022
H3 H 0.6632 0.0233 0.5978
H4 H 0.2758 0.2849 0.9570

***

(5)
# TlHC2O4, relaxed, DFT PBE
# SG: No. 14
# Magnetic moment, Bohr magnetons per cell: 0.000
data_TlHC2O4
_symmetry_space_group_name_H-M 'P 1'
_symmetry_Int_Tables_number 1
_cell_length_a 6.6406
_cell_length_b 6.4977
_cell_length_c 10.4496
_cell_angle_alpha 84.85
_cell_angle_beta 90.00
_cell_angle_gamma 90.00
loop_
_symmetry_equiv_pos_as_xyz
'x,y,z'
loop_
_atom_site_label
_atom_site_type_symbol
_atom_site_fract_x
_atom_site_fract_y
_atom_site_fract_z
O1 O 0.9862 0.5137 0.8309
O2 O 0.5138 0.0137 0.8309
O3 O 0.6548 0.1640 0.5821
O4 O 0.1548 0.3360 0.4179
O5 O 0.8452 0.6640 0.5821
O6 O 0.8559 0.6297 0.3711
O7 O 0.8318 0.7015 0.0314
O8 O 0.3559 0.8703 0.6289
O9 O 0.6441 0.1297 0.3711
O10 O 0.1682 0.2985 0.9686
O11 O 0.6682 0.2015 0.0314
O12 O 0.0138 0.4863 0.1691
O13 O 0.3318 0.7985 0.9686
O14 O 0.1441 0.3703 0.6289
O15 O 0.3452 0.8360 0.4179
O16 O 0.4862 0.9863 0.1691
C1 C 0.5457 0.0552 0.0568
C2 C 0.9543 0.5552 0.0568
C3 C 0.0457 0.4448 0.9432
C4 C 0.0840 0.4170 0.5092
C5 C 0.5840 0.0830 0.4908
C6 C 0.9160 0.5830 0.4908
C7 C 0.4160 0.9170 0.5092
C8 C 0.4543 0.9448 0.9432
H1 H 0.9308 0.5563 0.3015
H2 H 0.0692 0.4437 0.6985
H3 H 0.5692 0.0563 0.3015
H4 H 0.4308 0.9437 0.6985
Tl1 Tl 0.4550 0.5629 0.1919
Tl2 Tl 0.9550 0.9371 0.8081
Tl3 Tl 0.5450 0.4371 0.8081
Tl4 Tl 0.0450 0.0629 0.1919

***

(6)
# Ca3BI3N2, relaxed, DFT PBE
# SG: No. 155
# Magnetic moment, Bohr magnetons per cell: 0.002
data_Ca3BI3N2
_symmetry_space_group_name_H-M 'P 1'
_symmetry_Int_Tables_number 1
_cell_length_a 10.6111
_cell_length_b 10.6111
_cell_length_c 10.6111
_cell_angle_alpha 105.66
_cell_angle_beta 105.66
_cell_angle_gamma 105.66
loop_
_symmetry_equiv_pos_as_xyz
'x,y,z'
loop_
_atom_site_label
_atom_site_type_symbol
_atom_site_fract_x
_atom_site_fract_y
_atom_site_fract_z
N1 N 0.3452 0.1059 0.8723
N2 N 0.8915 0.8915 0.8915
N3 N 0.8941 0.6548 0.1277
N4 N 0.1059 0.8723 0.3452
N5 N 0.8723 0.3452 0.1059
N6 N 0.6548 0.1277 0.8941
N7 N 0.1085 0.1085 0.1085
N8 N 0.1277 0.8941 0.6548
B1 B 0.0000 0.7648 0.2352
B2 B 0.2352 0.0000 0.7648
B3 B 0.0000 0.0000 0.0000
B4 B 0.7648 0.2352 0.0000
Ca1 Ca 0.9761 0.7611 0.7351
Ca2 Ca 0.5000 0.2202 0.7798
Ca3 Ca 0.5000 0.0157 0.9843
Ca4 Ca 0.7798 0.5000 0.2202
Ca5 Ca 0.2202 0.7798 0.5000
Ca6 Ca 0.0239 0.2649 0.2389
Ca7 Ca 0.7351 0.9761 0.7611
Ca8 Ca 0.2389 0.0239 0.2649
Ca9 Ca 0.2649 0.2389 0.0239
Ca10 Ca 0.9843 0.5000 0.0157
Ca11 Ca 0.0157 0.9843 0.5000
Ca12 Ca 0.7611 0.7351 0.9761
I1 I 0.7719 0.0000 0.2281
I2 I 0.0000 0.2281 0.7719
I3 I 0.2653 0.5296 0.2547
I4 I 0.5017 0.4983 0.0000
I5 I 0.5296 0.2547 0.2653
I6 I 0.4983 0.0000 0.5017
I7 I 0.2281 0.7719 0.0000
I8 I 0.0000 0.5017 0.4983
I9 I 0.2547 0.2653 0.5296
I10 I 0.7453 0.4704 0.7347
I11 I 0.7347 0.7453 0.4704
I12 I 0.4704 0.7347 0.7453

***

(7)
# Lu3Sb4Au3, relaxed, DFT PBE
# SG: No. 220
data_Lu3Sb4Au3
_symmetry_space_group_name_H-M 'P 1'
_symmetry_Int_Tables_number 1
_cell_length_a 8.5382
_cell_length_b 8.5382
_cell_length_c 8.5382
_cell_angle_alpha 109.47
_cell_angle_beta 109.47
_cell_angle_gamma 109.47
loop_
_symmetry_equiv_pos_as_xyz
'x,y,z'
loop_
_atom_site_label
_atom_site_type_symbol
_atom_site_fract_x
_atom_site_fract_y
_atom_site_fract_z
Lu1 Lu 0.2500 0.1250 0.8750
Lu2 Lu 0.8750 0.2500 0.1250
Lu3 Lu 0.7500 0.3750 0.6250
Lu4 Lu 0.3750 0.6250 0.7500
Lu5 Lu 0.1250 0.8750 0.2500
Lu6 Lu 0.6250 0.7500 0.3750
Sb1 Sb 0.5000 0.0000 0.6788
Sb2 Sb 0.5000 0.0000 0.1788
Sb3 Sb 0.1788 0.5000 0.0000
Sb4 Sb 0.8212 0.8212 0.8212
Sb5 Sb 0.3212 0.3212 0.3212
Sb6 Sb 0.0000 0.1788 0.5000
Sb7 Sb 0.0000 0.6788 0.5000
Sb8 Sb 0.6788 0.5000 0.0000
Au1 Au 0.1250 0.7500 0.8750
Au2 Au 0.8750 0.1250 0.7500
Au3 Au 0.2500 0.6250 0.3750
Au4 Au 0.3750 0.2500 0.6250
Au5 Au 0.7500 0.8750 0.1250
Au6 Au 0.6250 0.3750 0.2500

***

(8)
# CaPbI4, relaxed, DFT PBE
# SG: No. 10
data_CaPbI4
_symmetry_space_group_name_H-M 'P 1'
_symmetry_Int_Tables_number 1
_cell_length_a 4.5950
_cell_length_b 7.3710
_cell_length_c 8.0227
_cell_angle_alpha 89.73
_cell_angle_beta 90.00
_cell_angle_gamma 90.00
loop_
_symmetry_equiv_pos_as_xyz
'x,y,z'
loop_
_atom_site_label
_atom_site_type_symbol
_atom_site_fract_x
_atom_site_fract_y
_atom_site_fract_z
Pb1 Pb 0.0000 0.0000 0.0000
I1 I 0.0000 0.7586 0.3421
I2 I 0.5000 0.2479 0.1765
I3 I 0.5000 0.7521 0.8235
I4 I 0.0000 0.2414 0.6579
Ca1 Ca 0.5000 0.0000 0.5000

***

(9)
# Ho2ZnAu, relaxed, DFT PBE
# SG: No. 225
data_Ho2ZnAu
_symmetry_space_group_name_H-M 'P 1'
_symmetry_Int_Tables_number 1
_cell_length_a 5.0564
_cell_length_b 5.0564
_cell_length_c 5.0564
_cell_angle_alpha 60.00
_cell_angle_beta 60.00
_cell_angle_gamma 60.00
loop_
_symmetry_equiv_pos_as_xyz
'x,y,z'
loop_
_atom_site_label
_atom_site_type_symbol
_atom_site_fract_x
_atom_site_fract_y
_atom_site_fract_z
Zn1 Zn 0.0000 0.0000 0.0000
Ho1 Ho 0.7500 0.7500 0.7500
Ho2 Ho 0.2500 0.2500 0.2500
Au1 Au 0.5000 0.5000 0.5000

***

(10)
# CaSiPt, relaxed, DFT PBE
# SG: No. 62
# Magnetic moment, Bohr magnetons per cell: 0.000
data_CaSiPt
_symmetry_space_group_name_H-M 'P 1'
_symmetry_Int_Tables_number 1
_cell_length_a 4.3725
_cell_length_b 7.1741
_cell_length_c 7.2600
_cell_angle_alpha 90.00
_cell_angle_beta 90.00
_cell_angle_gamma 90.00
loop_
_symmetry_equiv_pos_as_xyz
'x,y,z'
loop_
_atom_site_label
_atom_site_type_symbol
_atom_site_fract_x
_atom_site_fract_y
_atom_site_fract_z
Ca1 Ca 0.2500 0.4943 0.1890
Ca2 Ca 0.7500 0.5057 0.8110
Ca3 Ca 0.2500 0.9943 0.3110
Ca4 Ca 0.7500 0.0057 0.6890
Si1 Si 0.7500 0.1739 0.0819
Si2 Si 0.2500 0.8261 0.9181
Si3 Si 0.7500 0.6739 0.4181
Si4 Si 0.2500 0.3261 0.5819
Pt1 Pt 0.7500 0.8093 0.0970
Pt2 Pt 0.7500 0.3093 0.4030
Pt3 Pt 0.2500 0.6907 0.5970
Pt4 Pt 0.2500 0.1907 0.9030

***

(11)
# La2CN3Cl, relaxed, DFT PBE
# SG: No. 65
# Magnetic moment, Bohr magnetons per cell: 0.010
data_La2CN3Cl
_symmetry_space_group_name_H-M 'P 1'
_symmetry_Int_Tables_number 1
_cell_length_a 8.2914
_cell_length_b 8.2914
_cell_length_c 3.9593
_cell_angle_alpha 90.00
_cell_angle_beta 90.00
_cell_angle_gamma 108.69
loop_
_symmetry_equiv_pos_as_xyz
'x,y,z'
loop_
_atom_site_label
_atom_site_type_symbol
_atom_site_fract_x
_atom_site_fract_y
_atom_site_fract_z
La1 La 0.7873 0.7873 0.5000
La2 La 0.6378 0.3622 0.0000
La3 La 0.3622 0.6378 0.0000
La4 La 0.2127 0.2127 0.5000
C1 C 0.0000 0.5000 0.5000
C2 C 0.5000 0.0000 0.5000
N1 N 0.4947 0.8494 0.5000
N2 N 0.6557 0.6557 0.0000
N3 N 0.8494 0.4947 0.5000
N4 N 0.5053 0.1506 0.5000
N5 N 0.1506 0.5053 0.5000
N6 N 0.3443 0.3443 0.0000
Cl1 Cl 0.8781 0.1219 0.0000
Cl2 Cl 0.1219 0.8781 0.0000

***

(12)
# MgB2H6, relaxed, DFT PBE
# SG: No. 4
# Magnetic moment, Bohr magnetons per cell: 0.000
# Energy above the most stable polymorph in this dataset, meV/atom: 0
data_MgB2H6
_symmetry_space_group_name_H-M 'P 1'
_symmetry_Int_Tables_number 1
_cell_length_a 8.3063
_cell_length_b 8.3212
_cell_length_c 9.2185
_cell_angle_alpha 90.00
_cell_angle_beta 89.92
_cell_angle_gamma 90.00
loop_
_symmetry_equiv_pos_as_xyz
'x,y,z'
loop_
_atom_site_label
_atom_site_type_symbol
_atom_site_fract_x
_atom_site_fract_y
_atom_site_fract_z
H1 H 0.7648 0.4895 0.2290
H2 H 0.4871 0.6383 0.1769
H3 H 0.4694 0.9606 0.2094
H4 H 0.8214 0.2274 0.0325
H5 H 0.3199 0.5502 0.0337
H6 H 0.4497 0.3326 0.3531
H7 H 0.7792 0.2939 0.3560
H8 H 0.2649 0.2878 0.2307
H9 H 0.0117 0.6396 0.0738
H10 H 0.0319 0.3176 0.0402
H11 H 0.9490 0.4456 0.3521
H12 H 0.5305 0.4605 0.0405
H13 H 0.9681 0.8176 0.2098
H14 H 0.0510 0.9455 0.8978
H15 H 0.7209 0.9836 0.8928
H16 H 0.6801 0.0503 0.2163
H17 H 0.5128 0.1384 0.0730
H18 H 0.2208 0.7939 0.8940
H19 H 0.1786 0.7274 0.2175
H20 H 0.5504 0.8326 0.8969
H21 H 0.2352 0.9895 0.0210
H22 H 0.2791 0.4836 0.3573
H23 H 0.7351 0.7878 0.0194
H24 H 0.9883 0.1396 0.1763
B1 B 0.5741 0.0162 0.1272
B2 B 0.0732 0.7616 0.1280
B3 B 0.9269 0.2616 0.1220
B4 B 0.1460 0.8795 0.9806
B5 B 0.8540 0.3795 0.2694
B6 B 0.6461 0.8982 0.9795
B7 B 0.4258 0.5161 0.1228
B8 B 0.3539 0.3981 0.2706
Mg1 Mg 0.1105 0.4740 0.1921
Mg2 Mg 0.6100 0.3039 0.1921
Mg3 Mg 0.3900 0.8039 0.0579
Mg4 Mg 0.8896 0.9740 0.0579

***

(13)
# Rb2TlInBr6, relaxed, DFT PBE
# SG: No. 225
# Magnetic moment, Bohr magnetons per cell: 0.000
data_Rb2TlInBr6
_symmetry_space_group_name_H-M 'P 1'
_symmetry_Int_Tables_number 1
_cell_length_a 8.2947
_cell_length_b 8.2947
_cell_length_c 8.2947
_cell_angle_alpha 60.00
_cell_angle_beta 60.00
_cell_angle_gamma 60.00
loop_
_symmetry_equiv_pos_as_xyz
'x,y,z'
loop_
_atom_site_label
_atom_site_type_symbol
_atom_site_fract_x
_atom_site_fract_y
_atom_site_fract_z
Br1 Br 0.2314 0.7686 0.7686
Br2 Br 0.7686 0.7686 0.2314
Br3 Br 0.7686 0.2314 0.2314
Br4 Br 0.7686 0.2314 0.7686
Br5 Br 0.2314 0.7686 0.2314
Br6 Br 0.2314 0.2314 0.7686
Rb1 Rb 0.7500 0.7500 0.7500
Rb2 Rb 0.2500 0.2500 0.2500
Tl1 Tl 0.5000 0.5000 0.5000
In1 In 0.0000 0.0000 0.0000

***

(14)
# CuPO4, relaxed, DFT PBE
# Maximum piezoelectric response, C/m²: 0.56
# SG: No. 82
# Magnetic moment, Bohr magnetons per cell: 0.001
data_CuPO4
_symmetry_space_group_name_H-M 'P 1'
_symmetry_Int_Tables_number 1
_cell_length_a 4.6459
_cell_length_b 4.6459
_cell_length_c 4.6459
_cell_angle_alpha 108.62
_cell_angle_beta 108.62
_cell_angle_gamma 111.19
loop_
_symmetry_equiv_pos_as_xyz
'x,y,z'
loop_
_atom_site_label
_atom_site_type_symbol
_atom_site_fract_x
_atom_site_fract_y
_atom_site_fract_z
O1 O 0.7711 0.6067 0.5552
O2 O 0.3933 0.9485 0.1644
O3 O 0.0515 0.2159 0.4448
O4 O 0.7841 0.2289 0.8356
Cu1 Cu 0.0000 0.0000 0.0000
P1 P 0.7500 0.2500 0.5000

***

| no. | formation energy from the elements (eV per atom) |
| --- | --- |
| 1 | -2.855 |
| 2 | -0.410 |
| 3 | -0.621 |
| 4 | -2.803 |
| 5 | -1.397 |
| 6 | -1.513 |
| 7 | -0.723 |
| 8 | -1.407 |
| 9 | -0.608 |
| 10 | -0.939 |
| 11 | -1.475 |
| 12 | -0.301 |
| 13 | -1.529 |
| 14 | -1.838 |